Below is a relaxed structure of Ta2Tl4Se11, with properties calculated at the r²SCAN level.

Lattice parameters (Å, degrees): 8.1522 9.2956 13.9705 72.59 89.33 85.77
Positions (direct):
Ta (0.1240, 0.3669, 0.3034)
Ta (0.3367, 0.1095, 0.1891)
Ta (0.6633, 0.8905, 0.8109)
Ta (0.8760, 0.6331, 0.6966)
Tl (0.0534, 0.7610, 0.9822)
Tl (0.2118, 0.9759, 0.5745)
Tl (0.2371, 0.4140, 0.5824)
Tl (0.4949, 0.7253, 0.1103)
Tl (0.5051, 0.2747, 0.8897)
Tl (0.7629, 0.5860, 0.4176)
Tl (0.7882, 0.0241, 0.4255)
Tl (0.9466, 0.2390, 0.0178)
Se (0.0167, 0.7097, 0.5354)
Se (0.0322, 0.1326, 0.2497)
Se (0.0544, 0.6562, 0.2489)
Se (0.1162, 0.4918, 0.8149)
Se (0.2630, 0.4026, 0.1108)
Se (0.2705, 0.0390, 0.0409)
Se (0.3487, 0.8583, 0.3329)
Se (0.3893, 0.1796, 0.3718)
Se (0.3993, 0.4420, 0.3521)
Se (0.4022, 0.0760, 0.7527)
Se (0.4574, 0.6900, 0.8812)
Se (0.5426, 0.3100, 0.1188)
Se (0.5978, 0.9240, 0.2473)
Se (0.6007, 0.5580, 0.6479)
Se (0.6107, 0.8204, 0.6282)
Se (0.6513, 0.1417, 0.6671)
Se (0.7295, 0.9610, 0.9591)
Se (0.7370, 0.5974, 0.8892)
Se (0.8838, 0.5082, 0.1851)
Se (0.9456, 0.3438, 0.7511)
Se (0.9678, 0.8674, 0.7503)
Se (0.9833, 0.2903, 0.4646)

Properties
- ΔH_f (0 K): -580 meV/atom
- Space group: No. 2



Below is a relaxed structure of Ta3VSe6, with properties calculated at the r²SCAN level.

Lattice parameters (Å, degrees): 6.0213 6.0213 12.8708 90.00 90.00 120.00
Positions (direct):
Ta (0.0000, 0.0000, 0.0000)
Ta (0.0000, 0.0000, 0.5000)
Ta (0.3333, 0.6667, 0.0003)
Ta (0.3333, 0.6667, 0.4997)
Ta (0.6667, 0.3333, 0.9997)
Ta (0.6667, 0.3333, 0.5003)
V (0.3333, 0.6667, 0.2500)
V (0.6667, 0.3333, 0.7500)
Se (0.0035, 0.3329, 0.8711)
Se (0.0035, 0.6705, 0.6289)
Se (0.3295, 0.3329, 0.6289)
Se (0.3295, 0.9965, 0.8711)
Se (0.3329, 0.0035, 0.1289)
Se (0.3329, 0.3295, 0.3711)
Se (0.6671, 0.6705, 0.8711)
Se (0.6671, 0.9965, 0.6289)
Se (0.6705, 0.0035, 0.3711)
Se (0.6705, 0.6671, 0.1289)
Se (0.9965, 0.3295, 0.1289)
Se (0.9965, 0.6671, 0.3711)

Properties
- ΔH_f (0 K): -996 meV/atom
- Space group: No. 182



Below is a relaxed structure of TbSe2, with properties calculated at the r²SCAN level.

Lattice parameters (Å, degrees): 4.0726 4.0726 8.3227 90.00 90.00 90.00
Positions (direct):
Tb (0.2500, 0.2500, 0.2269)
Tb (0.7500, 0.7500, 0.7731)
Se (0.2500, 0.2500, 0.8692)
Se (0.2500, 0.7500, 0.5000)
Se (0.7500, 0.2500, 0.5000)
Se (0.7500, 0.7500, 0.1308)

Properties
- ΔH_f (0 K): -1812 meV/atom
- Space group: No. 129



no.,total energy (eV/atom)
1,-28.070
2,-25.569
3,-21.762